Entry 1:
RuC6N9 | PBE | relaxed

Calculated values
final energy = -262.32 eV per cell
spin magnetization = 1.0 μB per formula unit
space-group type = Cmcm, No. 63
energy of formation from the pure elements = 329 meV/atom

```
RuC6N9
1.0
3.548 -6.732 0.000
3.548 6.732 0.000
0.000 0.000 11.368
Ru C N
2 12 18
direct
0.219 0.781 0.750 Ru
0.781 0.219 0.250 Ru
0.029 0.289 0.750 C
0.198 0.484 0.095 C
0.198 0.484 0.405 C
0.289 0.029 0.250 C
0.484 0.198 0.595 C
0.484 0.198 0.905 C
0.516 0.802 0.095 C
0.516 0.802 0.405 C
0.711 0.971 0.750 C
0.802 0.516 0.595 C
0.802 0.516 0.905 C
0.971 0.711 0.250 C
0.028 0.352 0.133 N
0.028 0.352 0.367 N
0.083 0.917 0.250 N
0.143 0.476 0.750 N
0.352 0.028 0.633 N
0.352 0.028 0.867 N
0.380 0.620 0.048 N
0.380 0.620 0.452 N
0.476 0.143 0.250 N
0.524 0.857 0.750 N
0.620 0.380 0.548 N
0.620 0.380 0.952 N
0.648 0.972 0.133 N
0.648 0.972 0.367 N
0.857 0.524 0.250 N
0.917 0.083 0.750 N
0.972 0.648 0.633 N
0.972 0.648 0.867 N
```

***

Entry 2:
RuC2N2 | PBE | relaxed

Calculated values
final energy = -339.06 eV per cell
spin magnetization = 0.0 μB per formula unit
distance to the lowest polymorph of the same formula = 0 kJ/mol of formula units
space-group type = Pbca, No. 61
energy of formation from the pure elements = 260 meV/atom

```
RuC2N2
1.0
6.061 0.000 0.000
0.000 7.120 0.000
0.000 0.000 11.454
Ru C N
8 16 16
direct
0.002 0.113 0.131 Ru
0.002 0.387 0.631 Ru
0.498 0.613 0.131 Ru
0.498 0.887 0.631 Ru
0.502 0.113 0.369 Ru
0.502 0.387 0.869 Ru
0.998 0.613 0.369 Ru
0.998 0.887 0.869 Ru
0.101 0.653 0.816 C
0.101 0.847 0.316 C
0.244 0.244 0.078 C
0.244 0.256 0.578 C
0.256 0.744 0.078 C
0.256 0.756 0.578 C
0.399 0.153 0.816 C
0.399 0.347 0.316 C
0.601 0.653 0.684 C
0.601 0.847 0.184 C
0.744 0.244 0.422 C
0.744 0.256 0.922 C
0.756 0.744 0.422 C
0.756 0.756 0.922 C
0.899 0.153 0.684 C
0.899 0.347 0.184 C
0.121 0.648 0.539 N
0.121 0.852 0.039 N
0.162 0.002 0.288 N
0.162 0.498 0.788 N
0.338 0.502 0.288 N
0.338 0.998 0.788 N
0.379 0.148 0.539 N
0.379 0.352 0.039 N
0.621 0.648 0.961 N
0.621 0.852 0.461 N
0.662 0.002 0.212 N
0.662 0.498 0.712 N
0.838 0.502 0.212 N
0.838 0.998 0.712 N
0.879 0.148 0.961 N
0.879 0.352 0.461 N
```

***

Entry 3:
SiC4S4N4 | PBE | relaxed

Calculated values
final energy = -736.68 eV per cell
spin magnetization = 0.0 μB per formula unit
space-group type = I4_1/a, No. 88
energy of formation from the pure elements = -255 meV/atom

```
SiC4S4N4
1.0
-7.594 7.594 9.413
7.594 -7.594 9.413
7.594 7.594 -9.413
Si C S N
8 32 32 32
direct
0.138 0.102 0.357 Si
0.245 0.781 0.143 Si
0.281 0.638 0.536 Si
0.398 0.255 0.036 Si
0.602 0.745 0.964 Si
0.719 0.362 0.464 Si
0.755 0.219 0.857 Si
0.862 0.898 0.643 Si
0.015 0.127 0.854 C
0.053 0.616 0.470 C
0.082 0.256 0.282 C
0.083 0.553 0.937 C
0.116 0.146 0.563 C
0.189 0.941 0.078 C
0.227 0.840 0.354 C
0.244 0.026 0.826 C
0.300 0.582 0.326 C
0.340 0.485 0.612 C
0.354 0.417 0.970 C
0.363 0.111 0.422 C
0.373 0.727 0.888 C
0.389 0.311 0.252 C
0.441 0.863 0.752 C
0.474 0.800 0.218 C
0.526 0.200 0.782 C
0.559 0.137 0.248 C
0.611 0.689 0.748 C
0.627 0.273 0.112 C
0.637 0.889 0.578 C
0.646 0.583 0.030 C
0.660 0.515 0.388 C
0.700 0.418 0.674 C
0.756 0.974 0.174 C
0.773 0.160 0.646 C
0.811 0.059 0.922 C
0.884 0.854 0.437 C
0.917 0.447 0.063 C
0.918 0.744 0.718 C
0.947 0.384 0.530 C
0.985 0.873 0.146 C
0.004 0.571 0.173 S
0.047 0.336 0.237 S
0.071 0.398 0.567 S
0.092 0.252 0.969 S
0.102 0.169 0.673 S
0.155 0.028 0.045 S
0.164 0.902 0.712 S
0.216 0.876 0.469 S
0.248 0.716 0.840 S
0.310 0.547 0.212 S
0.331 0.504 0.933 S
0.376 0.408 0.660 S
0.390 0.345 0.373 S
0.402 0.190 0.737 S
0.472 0.017 0.127 S
0.483 0.110 0.455 S
0.517 0.890 0.545 S
0.528 0.983 0.873 S
0.598 0.810 0.263 S
0.610 0.655 0.627 S
0.624 0.592 0.340 S
0.669 0.496 0.067 S
0.690 0.453 0.788 S
0.752 0.284 0.160 S
0.784 0.124 0.531 S
0.836 0.098 0.288 S
0.845 0.972 0.955 S
0.898 0.831 0.327 S
0.908 0.748 0.031 S
0.929 0.602 0.433 S
0.953 0.664 0.763 S
0.996 0.429 0.827 S
0.044 0.969 0.234 N
0.111 0.196 0.318 N
0.128 0.130 0.479 N
0.148 0.628 0.497 N
0.151 0.648 0.021 N
0.215 0.875 0.104 N
0.235 0.811 0.266 N
0.271 0.111 0.396 N
0.292 0.611 0.414 N
0.304 0.122 0.914 N
0.311 0.544 0.576 N
0.370 0.349 0.997 N
0.375 0.771 0.660 N
0.378 0.792 0.182 N
0.389 0.285 0.160 N
0.469 0.735 0.924 N
0.531 0.265 0.076 N
0.611 0.715 0.840 N
0.622 0.208 0.818 N
0.625 0.229 0.340 N
0.630 0.651 0.003 N
0.689 0.456 0.424 N
0.696 0.878 0.086 N
0.708 0.389 0.586 N
0.729 0.889 0.604 N
0.765 0.189 0.734 N
0.785 0.125 0.896 N
0.849 0.352 0.979 N
0.852 0.372 0.503 N
0.872 0.870 0.521 N
0.889 0.804 0.682 N
0.956 0.031 0.766 N
```